Na14Y4Si9Sn4S3O48: optimized geometry, PBE.

For the energy of formation, the calculation gives -2.69 eV/atom. The space group is P1 (1). The value obtained for the energy with MP2020 corrections is -7.066 eV per atom. Its total energy is -6.664 eV/atom.

Cell and atoms, written as extended XYZ:
```
246
Lattice="9.304 0.000 0.000 0.000 16.113 0.000 -0.020 -0.266 23.000" Properties=species:S:1:pos:R:3 pbc="T T T"
Na 0.000 0.000 0.000
Na -0.012 15.210 15.365
Na 0.255 10.211 15.241
Na 0.412 4.984 0.140
Na 0.519 15.672 7.701
Na 1.532 12.889 17.171
Na 1.564 1.987 9.556
Na 1.601 7.501 13.382
Na 1.639 7.624 1.938
Na 1.652 12.918 5.637
Na 1.667 1.979 21.242
Na 2.764 15.592 19.284
Na 2.899 10.302 3.805
Na 3.007 4.852 11.534
Na 3.269 15.315 3.845
Na 3.268 10.277 19.299
Na 3.323 15.773 11.414
Na 3.386 10.016 11.370
Na 3.468 4.447 19.177
Na 4.447 12.597 7.568
Na 4.513 1.818 22.953
Na 4.612 7.906 0.041
Na 4.643 2.369 7.719
Na 4.635 7.181 15.372
Na 4.929 12.999 0.183
Na 4.935 2.106 15.331
Na 5.140 7.720 7.645
Na 6.188 4.839 17.262
Na 6.234 10.155 9.596
Na 6.236 15.443 13.341
Na 6.329 15.648 1.934
Na 6.337 9.908 21.205
Na 6.376 5.016 5.617
Na 7.403 7.494 19.292
Na 7.516 12.876 11.563
Na 7.684 2.288 3.748
Na 7.917 2.230 19.345
Na 7.935 7.951 11.398
Na 7.963 7.410 3.813
Na 8.123 12.506 18.978
Na 9.126 4.634 7.391
Na 9.283 10.430 7.577
Y 1.525 2.136 6.060
Y 1.561 2.319 1.568
Y 1.607 12.756 20.723
Y 1.652 7.676 9.973
Y 1.695 12.961 9.186
Y 1.696 2.022 17.568
Y 6.216 4.779 20.720
Y 6.252 15.582 21.533
Y 6.304 10.224 5.990
Y 6.314 4.863 9.159
Y 6.362 10.245 13.050
Y 6.396 10.035 17.564
Si 0.182 4.734 3.835
Si 0.180 15.846 3.790
Si 0.210 15.398 11.495
Si 0.283 10.554 11.524
Si 0.301 9.719 19.134
Si 2.990 4.538 15.281
Si 3.023 15.382 0.023
Si 3.023 9.977 7.589
Si 3.068 15.741 15.293
Si 3.100 10.673 0.015
Si 3.497 4.745 22.937
Si 3.631 15.658 7.637
Si 4.281 7.460 19.123
Si 4.407 12.942 11.455
Si 4.849 7.811 3.797
Si 4.872 7.229 11.505
Si 4.899 2.483 11.525
Si 4.932 1.773 19.068
Si 4.945 12.736 3.789
Si 7.621 1.791 7.643
Si 7.650 2.635 0.011
Si 7.693 7.208 22.961
Si 7.728 12.669 15.338
Si 7.738 7.620 15.283
Si 8.194 7.567 7.638
Si 9.010 15.488 19.121
Si 9.054 10.373 3.800
Sn 1.551 7.700 5.195
Sn 1.593 13.016 13.668
Sn 1.612 7.407 16.798
Sn 1.655 7.575 21.634
Sn 1.695 12.958 2.356
Sn 1.773 2.088 13.055
Sn 6.182 4.846 13.771
Sn 6.243 10.246 1.633
Sn 6.264 15.472 16.811
Sn 6.268 15.748 10.107
Sn 6.308 15.591 5.297
Sn 6.339 5.104 2.174
S 0.285 5.125 19.149
S 2.990 5.215 7.617
S 3.452 10.184 15.341
S 4.471 2.259 3.839
S 4.910 13.124 19.119
S 7.610 13.330 7.685
S 8.174 12.974 0.026
S 8.179 2.162 15.268
S 9.041 4.764 11.560
O 0.042 7.199 22.835
O 0.089 7.603 15.475
O 0.098 12.768 15.201
O 0.358 0.726 2.518
O 0.391 3.780 5.156
O 0.408 14.433 12.829
O 0.523 11.455 10.201
O 0.537 5.962 17.938
O 0.540 8.701 20.393
O 0.566 0.771 19.025
O 0.589 5.983 11.486
O 0.617 3.571 11.703
O 0.680 8.986 3.831
O 0.668 14.147 19.108
O 0.797 11.623 3.594
O 0.804 6.255 3.974
O 0.828 4.106 2.502
O 0.879 3.775 18.994
O 0.873 5.718 20.366
O 0.925 0.329 5.126
O 0.934 14.395 3.608
O 0.949 0.769 11.753
O 0.951 9.063 17.753
O 0.971 14.852 10.173
O 0.980 9.063 11.546
O 0.994 11.268 12.867
O 1.010 11.194 19.205
O 2.225 11.414 7.600
O 2.293 3.836 13.945
O 2.308 0.225 16.595
O 2.318 14.293 15.100
O 2.354 9.190 6.287
O 2.359 14.531 21.633
O 2.391 11.379 1.302
O 2.401 3.856 7.469
O 2.421 0.778 0.147
O 2.434 5.755 8.883
O 2.423 6.095 15.373
O 2.473 8.877 22.952
O 2.548 11.354 15.239
O 2.548 6.116 22.839
O 2.598 3.687 0.120
O 2.604 8.923 15.419
O 2.655 14.391 1.296
O 2.642 14.361 7.646
O 2.704 6.092 6.471
O 2.759 0.942 7.584
O 2.779 3.632 16.593
O 2.821 9.071 8.938
O 2.869 0.676 14.014
O 2.907 11.270 21.642
O 3.210 7.766 3.947
O 3.225 2.391 11.657
O 3.236 7.220 11.498
O 3.293 12.887 3.661
O 3.306 1.975 19.009
O 3.315 7.634 20.445
O 3.360 7.210 17.751
O 3.369 13.268 12.712
O 3.430 13.007 19.192
O 3.575 12.685 10.094
O 3.630 2.061 2.650
O 3.644 2.405 5.056
O 4.276 10.327 16.557
O 4.293 9.986 14.154
O 4.306 4.477 21.551
O 4.474 5.078 7.697
O 4.573 5.315 1.174
O 4.573 15.422 6.289
O 4.569 15.841 8.992
O 4.645 10.182 7.531
O 4.664 15.390 0.015
O 4.664 4.613 15.158
O 4.723 15.728 15.444
O 4.763 10.561 0.174
O 5.051 8.830 2.495
O 5.070 3.393 10.206
O 5.135 11.853 5.123
O 5.125 0.830 20.375
O 5.154 8.855 19.060
O 5.160 14.004 17.936
O 5.169 6.261 12.835
O 5.270 6.158 19.125
O 5.313 0.999 3.922
O 5.327 11.623 11.643
O 5.372 3.428 3.732
O 5.363 14.312 11.359
O 5.480 0.951 11.474
O 5.487 8.724 11.646
O 5.491 13.697 20.341
O 5.507 11.784 18.942
O 5.531 14.300 3.881
O 5.569 6.583 10.188
O 5.592 1.015 17.721
O 5.596 3.148 12.875
O 5.606 8.386 5.114
O 5.607 12.041 2.441
O 5.616 6.361 3.597
O 5.707 3.215 19.067
O 6.901 3.257 7.718
O 6.925 3.367 1.321
O 6.935 8.920 0.179
O 6.947 1.146 0.043
O 6.962 1.121 6.280
O 6.964 8.202 16.607
O 6.994 11.993 7.567
O 6.988 6.630 21.610
O 7.011 6.123 15.115
O 7.042 13.945 8.913
O 7.076 12.053 14.009
O 7.108 14.227 15.455
O 7.247 6.209 7.611
O 7.269 3.326 15.114
O 7.289 11.793 0.146
O 7.303 8.940 7.584
O 7.309 13.934 22.941
O 7.329 0.910 15.332
O 7.366 14.167 6.480
O 7.390 0.790 8.924
O 7.388 3.217 21.642
O 7.496 11.739 16.667
O 7.522 6.475 1.267
O 7.538 8.603 14.013
O 7.811 4.814 3.684
O 7.829 15.828 3.979
O 7.867 15.396 11.365
O 7.969 9.915 19.094
O 7.969 10.376 11.596
O 8.002 10.056 2.570
O 8.025 15.276 17.782
O 8.112 5.007 19.214
O 8.127 4.960 12.717
O 8.127 15.620 20.471
O 8.280 4.589 10.304
O 8.302 10.600 5.209
O 8.915 12.543 21.753
O 8.923 2.343 16.528
O 9.039 7.663 9.031
O 9.091 13.181 1.162
O 9.088 13.214 7.756
O 9.095 1.960 14.123
O 9.209 7.337 6.344
O 9.257 1.988 7.613
O 9.269 2.457 0.071
```